(1)
# La2Ge5Rh3 r2SCAN relaxed
# Electronic total energy (eV/atom): -21.02
# Total magnetization (μB per atom): 0.023
# Energy of formation (meV/atom): -898
data_La2Ge5Rh3
_chemical_formula_sum 'La8 Ge20 Rh12'
_cell_length_a 10.1691
_cell_length_b 12.1650
_cell_length_c 6.0967
_cell_angle_alpha 90.00
_cell_angle_beta 90.00
_cell_angle_gamma 90.00
_space_group_name_H-M_alt 'I b a m'
_space_group_IT_number 72
_space_group_name_Hall '-I 2 2c'
loop_
_atom_site_label
_atom_site_type_symbol
_atom_site_fract_x
_atom_site_fract_y
_atom_site_fract_z
La1 La 0.2317 0.1321 0.0000
Ge1 Ge 0.0000 0.0000 0.2500
Ge2 Ge 0.0000 0.2743 0.2500
Ge3 Ge 0.1554 0.3986 0.0000
Rh1 Rh 0.0000 0.5000 0.2500
Rh2 Rh 0.1084 0.1400 0.5000

***

(2)
# LaGe3Ru r2SCAN relaxed
# Electronic total energy (eV/atom): -20.02
# Total magnetization (μB per atom): 0.000
# Energy of formation (meV/atom): -666
data_LaGe3Ru
_chemical_formula_sum 'La2 Ge6 Ru2'
_cell_length_a 4.4369
_cell_length_b 4.4369
_cell_length_c 10.1401
_cell_angle_alpha 90.00
_cell_angle_beta 90.00
_cell_angle_gamma 90.00
_space_group_name_H-M_alt 'I 4 m m'
_space_group_IT_number 107
_space_group_name_Hall 'I 4 -2'
loop_
_atom_site_label
_atom_site_type_symbol
_atom_site_fract_x
_atom_site_fract_y
_atom_site_fract_z
La1 La 0.0000 0.0000 0.0000
Ge1 Ge 0.0000 0.0000 0.4266
Ge2 Ge 0.0000 0.5000 0.2608
Ru1 Ru 0.0000 0.0000 0.6607

***

(3)
# LaGeRu r2SCAN relaxed
# Electronic total energy (eV/atom): -23.77
# Total magnetization (μB per atom): 0.064
# Energy of formation (meV/atom): -753
data_LaGeRu
_chemical_formula_sum 'La2 Ge2 Ru2'
_cell_length_a 4.3423
_cell_length_b 4.3423
_cell_length_c 7.0483
_cell_angle_alpha 90.00
_cell_angle_beta 90.00
_cell_angle_gamma 90.00
_space_group_name_H-M_alt 'P 4/n m m'
_space_group_IT_number 129
loop_
_space_group_symop_operation_xyz
'x,y,z'
'-x,-y,-z'
'-y+1/2,x,z'
'y+1/2,-x,-z'
'-x+1/2,-y+1/2,z'
'x+1/2,y+1/2,-z'
'y,-x+1/2,z'
'-y,x+1/2,-z'
'x+1/2,-y,-z'
'-x+1/2,y,z'
'-y,-x,-z'
'y,x,z'
'-x,y+1/2,-z'
'x,-y+1/2,z'
'y+1/2,x+1/2,-z'
'-y+1/2,-x+1/2,z'
loop_
_atom_site_label
_atom_site_type_symbol
_atom_site_fract_x
_atom_site_fract_y
_atom_site_fract_z
La1 La 0.2500 0.2500 0.1914
Ge1 Ge 0.2500 0.2500 0.6813
Ru1 Ru 0.2500 0.7500 0.5000

***

(4)
# LaGe2Ru2 r2SCAN relaxed
# Electronic total energy (eV/atom): -22.42
# Total magnetization (μB per atom): 0.000
# Energy of formation (meV/atom): -749
data_LaGe2Ru2
_chemical_formula_sum 'La2 Ge4 Ru4'
_cell_length_a 4.3089
_cell_length_b 4.3089
_cell_length_c 10.1415
_cell_angle_alpha 90.00
_cell_angle_beta 90.00
_cell_angle_gamma 90.00
_space_group_name_H-M_alt 'I 4/m m m'
_space_group_IT_number 139
_space_group_name_Hall '-I 4 2'
loop_
_atom_site_label
_atom_site_type_symbol
_atom_site_fract_x
_atom_site_fract_y
_atom_site_fract_z
La1 La 0.0000 0.0000 0.0000
Ge1 Ge 0.0000 0.0000 0.3627
Ru1 Ru 0.0000 0.5000 0.2500